Record 1
A plane-wave DFT calculation with PBE was carried out for DyHfF7 after structural relaxation.

Unit cell a=5.683 b=6.090 c=8.251 alpha=101.88 beta=90.00 gamma=90.00
Sites, in units of the cell vectors:
Dy 0.698 0.656 0.685
Dy 0.198 0.344 0.315
F 0.204 0.244 0.023
F 0.445 0.038 0.240
F 0.496 0.545 0.213
F 0.388 0.548 0.523
F 0.996 0.455 0.787
F 0.211 0.140 0.528
F 0.501 0.378 0.782
F 0.711 0.860 0.472
F 0.888 0.452 0.477
F 0.926 0.074 0.232
F 0.426 0.926 0.768
F 0.001 0.622 0.218
F 0.945 0.962 0.760
F 0.704 0.756 0.977
Hf 0.208 0.188 0.776
Hf 0.708 0.812 0.224

## Properties
- SG = No. 4
- E (MP2020) (eV/atom) = -7.429
- E_form (meV per atom) = -4322


Record 2
A plane-wave DFT calculation with PBE was carried out for YAl4Fe8 after structural relaxation.

Unit cell a=6.493 b=6.493 c=6.493 alpha=98.32 beta=98.32 gamma=135.28
Sites, in units of the cell vectors:
Al 0.345 0.000 0.345
Al 0.000 0.655 0.655
Al 0.655 0.000 0.655
Al 0.000 0.345 0.345
Fe 0.500 0.500 0.500
Fe 0.000 0.500 0.000
Fe 0.500 0.000 0.000
Fe 0.500 0.733 0.233
Fe 0.000 0.000 0.500
Fe 0.733 0.500 0.233
Fe 0.267 0.500 0.767
Fe 0.500 0.267 0.767
Y 0.000 0.000 0.000

## Properties
- SG = No. 139
- magnetic moment (μB/f.u.) = 15.011
- E_form (meV per atom) = -230


Record 3
A plane-wave DFT calculation with PBE was carried out for Ca2Ga2GeO7 after structural relaxation.

Unit cell a=7.980 b=5.258 c=7.995 alpha=89.98 beta=90.00 gamma=90.00
Sites, in units of the cell vectors:
O 0.506 0.801 0.752
O 0.092 0.204 0.916
O 0.909 0.212 0.590
O 0.663 0.215 0.334
O 0.836 0.798 0.848
O 0.163 0.785 0.666
O 0.006 0.199 0.248
O 0.409 0.788 0.410
O 0.360 0.309 0.614
O 0.641 0.288 0.895
O 0.592 0.796 0.084
O 0.860 0.691 0.386
O 0.336 0.202 0.152
O 0.141 0.712 0.105
Ga 0.855 0.033 0.395
Ga 0.355 0.967 0.605
Ga 0.001 0.000 0.747
Ga 0.501 0.000 0.253
Ge 0.644 0.958 0.894
Ge 0.144 0.042 0.106
Ca 0.836 0.514 0.104
Ca 0.336 0.486 0.896
Ca 0.158 0.516 0.425
Ca 0.658 0.484 0.575

## Properties
- SG = No. 4
- E (MP2020) (eV/atom) = -6.794
- magnetic moment (μB/f.u.) = 0.000
- E_form (meV per atom) = -2683


Record 4
A plane-wave DFT calculation with PBE was carried out for Na6Nb4Zn4Si5S7O48 after structural relaxation.

Unit cell a=17.830 b=8.993 c=22.747 alpha=90.16 beta=89.56 gamma=120.46
Sites, in units of the cell vectors:
Zn 0.167 0.661 0.512
Zn 0.167 0.689 0.309
Zn 0.673 0.696 0.307
Zn 0.333 0.361 0.681
Zn 0.663 0.670 0.015
Zn 0.666 0.647 0.809
Zn 0.832 0.306 0.181
Zn 0.669 0.664 0.518
Zn 0.820 0.312 0.694
Zn 0.173 0.679 0.021
Zn 0.330 0.324 0.198
Zn 0.183 0.650 0.812
O 0.411 0.003 0.414
O 0.059 0.623 0.354
O 0.480 0.800 0.083
O 0.088 0.991 0.909
O 0.436 0.536 0.139
O 0.649 0.435 0.473
O 0.846 0.536 0.533
O 0.767 0.644 0.866
O 0.732 0.156 0.532
O 0.410 0.829 0.906
O 0.589 0.180 0.414
O 0.922 0.799 0.589
O 0.901 0.814 0.192
O 0.356 0.535 0.248
O 0.422 0.320 0.248
O 0.590 0.987 0.911
O 0.186 0.472 0.365
O 0.937 0.519 0.149
O 0.674 0.475 0.075
O 0.750 0.825 0.071
O 0.139 0.815 0.246
O 0.496 0.810 0.804
O 0.659 0.874 0.971
O 0.437 0.356 0.650
O 0.840 0.157 0.027
O 0.147 0.860 0.970
O 0.648 0.830 0.246
O 0.936 0.341 0.642
O 0.600 0.030 0.586
O 0.497 0.178 0.307
O 0.241 0.347 0.137
O 0.231 0.306 0.031
O 0.084 0.995 0.192
O 0.271 0.712 0.976
O 0.157 0.441 0.472
O 0.081 0.444 0.247
O 0.923 0.300 0.252
O 0.790 0.696 0.973
O 0.686 0.899 0.863
O 0.084 0.712 0.752
O 0.335 0.142 0.138
O 0.081 0.648 0.076
O 0.415 0.314 0.533
O 0.640 0.464 0.746
O 0.588 0.470 0.971
O 0.512 0.197 0.192
O 0.101 0.170 0.087
O 0.243 0.142 0.923
O 0.356 0.158 0.751
O 0.422 0.528 0.032
O 0.927 0.502 0.431
O 0.744 0.341 0.427
O 0.586 0.172 0.692
O 0.235 0.172 0.250
O 0.764 0.648 0.585
O 0.773 0.700 0.250
O 0.423 0.544 0.751
O 0.261 0.877 0.083
O 0.907 0.985 0.405
O 0.008 0.830 0.408
O 0.916 0.518 0.032
O 0.913 0.006 0.806
O 0.598 0.161 0.083
O 0.508 0.187 0.907
O 0.418 0.816 0.589
O 0.254 0.689 0.255
O 0.679 0.462 0.365
O 0.173 0.872 0.578
O 0.831 0.508 0.921
O 0.739 0.309 0.750
O 0.824 0.146 0.432
O 0.738 0.124 0.638
O 0.250 0.675 0.572
O 0.330 0.153 0.425
O 0.089 0.191 0.412
O 0.596 0.015 0.306
O 0.835 0.524 0.640
O 0.567 0.687 0.469
O 0.996 0.177 0.196
O 0.997 0.812 0.803
O 0.397 0.982 0.693
O 0.001 0.183 0.911
O 0.096 0.030 0.587
O 0.586 0.993 0.191
O 0.342 0.151 0.031
O 0.745 0.155 0.923
O 0.009 0.823 0.696
O 0.424 0.508 0.426
O 0.085 0.180 0.692
O 0.286 0.883 0.476
O 0.325 0.499 0.933
O 0.748 0.877 0.359
O 0.067 0.446 0.966
O 0.254 0.606 0.859
O 0.922 0.309 0.534
O 0.268 0.843 0.751
O 0.558 0.494 0.852
O 0.411 0.816 0.308
O 0.754 0.823 0.755
O 0.858 0.556 0.251
O 0.773 0.832 0.478
O 0.919 0.020 0.088
O 0.581 0.513 0.577
O 0.736 0.347 0.135
O 0.676 0.871 0.578
O 0.178 0.886 0.863
O 0.581 0.717 0.746
O 0.088 0.006 0.306
O 0.743 0.192 0.245
O 0.858 0.184 0.749
O 0.495 0.813 0.696
O 0.590 0.169 0.806
O 0.236 0.125 0.637
O 0.981 0.161 0.588
O 0.086 0.704 0.473
O 0.420 0.042 0.084
O 0.178 0.480 0.079
O 0.596 0.490 0.255
O 0.924 0.338 0.922
O 0.065 0.474 0.580
O 0.911 0.821 0.301
O 0.805 0.097 0.142
O 0.427 0.349 0.930
O 0.408 0.996 0.801
O 0.339 0.521 0.529
O 0.996 0.181 0.304
O 0.565 0.654 0.078
O 0.244 0.334 0.425
O 0.302 0.513 0.643
O 0.987 0.809 0.090
O 0.486 0.164 0.591
O 0.267 0.889 0.368
O 0.926 0.549 0.748
O 0.731 0.308 0.028
O 0.095 0.180 0.807
O 0.243 0.301 0.747
O 0.146 0.473 0.747
O 0.401 0.832 0.193
O 0.049 0.457 0.859
O 0.547 0.642 0.361
O 0.902 0.977 0.692
O 0.913 0.818 0.908
O 0.500 0.819 0.415
O 0.228 0.152 0.530
Na 0.177 0.650 0.664
Na 0.816 0.316 0.826
Na 0.488 0.996 0.001
Na 0.329 0.971 0.577
Na 0.176 0.682 0.170
Na 0.999 0.605 0.249
Na 0.501 0.621 0.250
Na 0.002 0.385 0.750
Na 0.499 0.389 0.749
Na 0.824 0.303 0.323
Na 0.672 0.664 0.668
Na 0.668 0.685 0.171
Na 0.007 0.009 0.001
Na 0.326 0.319 0.320
Na 0.505 0.999 0.496
Na 0.990 0.978 0.496
Na 0.828 0.687 0.081
Na 0.325 0.350 0.825
S 0.477 0.629 0.085
S 0.192 0.336 0.085
S 0.976 0.330 0.587
S 0.820 0.663 0.917
S 0.690 0.044 0.584
S 0.356 0.996 0.750
S 0.005 0.720 0.750
S 0.015 0.368 0.915
S 0.184 0.043 0.585
S 0.165 0.960 0.916
S 0.858 0.718 0.249
S 0.671 0.970 0.916
S 0.663 0.364 0.419
S 0.837 0.620 0.588
S 0.516 0.669 0.417
S 0.000 0.279 0.250
S 0.337 0.051 0.086
S 0.500 0.720 0.750
S 0.684 0.324 0.083
S 0.171 0.372 0.418
S 0.320 0.974 0.420
Nb 0.497 0.003 0.152
Nb 0.837 0.331 0.987
Nb 0.001 0.012 0.850
Nb 0.503 0.009 0.859
Nb 0.338 0.339 0.977
Nb 0.996 0.005 0.648
Nb 0.003 0.996 0.358
Nb 0.836 0.332 0.475
Nb 0.338 0.344 0.486
Nb 0.501 0.002 0.347
Nb 0.503 0.007 0.641
Nb 0.003 0.999 0.141
Si 0.345 0.700 0.251
Si 0.804 0.938 0.418
Si 0.508 0.309 0.251
Si 0.987 0.619 0.091
Si 0.031 0.669 0.415
Si 0.487 0.356 0.591
Si 0.308 0.666 0.919
Si 0.530 0.394 0.914
Si 0.154 0.302 0.748
Si 0.324 0.626 0.586
Si 0.646 0.293 0.749
Si 0.654 0.013 0.246
Si 0.845 0.994 0.751
Si 0.824 0.020 0.086
Si 0.145 0.998 0.249

## Properties
- SG = No. 1
- E (MP2020) (eV/atom) = -7.058
- magnetic moment (μB/f.u.) = 0.000
- E_form (meV per atom) = -2369